No. 1
Computed, not measured: Sr8Fe7CoO24 after structural relaxation at the PBE with a Hubbard U level of DFT.

a b c (Å): 7.8181 7.8181 7.8181
angles (deg): 90.00 90.00 90.00
Last column: nearest neighbours and their distance in Å.
Atoms (fractional coordinates):
Sr: 0.2505 0.2495 0.2495  12 O 2.76-2.77
Sr: 0.2505 0.2495 0.7505  12 O 2.76-2.77
Sr: 0.2505 0.7505 0.2495  12 O 2.76-2.77
Sr: 0.2505 0.7505 0.7505  12 O 2.76-2.77
Sr: 0.7495 0.2495 0.2495  12 O 2.76-2.77
Sr: 0.7495 0.2495 0.7505  12 O 2.76-2.77
Sr: 0.7495 0.7505 0.2495  12 O 2.76-2.77
Sr: 0.7495 0.7505 0.7505  12 O 2.76-2.77
Fe: 0.0000 0.0000 0.0000  6 O 1.97
Fe: 0.0000 0.0000 0.5000  6 O 1.94-2.02
Fe: 0.0000 0.5000 0.0000  6 O 1.94-2.02
Fe: 0.5000 0.0000 0.0000  6 O 1.94
Fe: 0.5000 0.0000 0.5000  6 O 1.97
Fe: 0.5000 0.5000 0.0000  6 O 1.97
Fe: 0.5000 0.5000 0.5000  6 O 1.94-2.02
Co: 0.0000 0.5000 0.5000  6 O 1.89
O: 0.2516 0.0000 0.0000  2 Fe 1.94-1.97
O: 0.2483 0.0000 0.5000  2 Fe 1.94-1.97
O: 0.2483 0.5000 0.0000  2 Fe 1.94-1.97
O: 0.2422 0.5000 0.5000  1 Co 1.89, 1 Fe 2.02
O: 0.7484 0.0000 0.0000  2 Fe 1.94-1.97
O: 0.7517 0.0000 0.5000  2 Fe 1.94-1.97
O: 0.7517 0.5000 0.0000  2 Fe 1.94-1.97
O: 0.7578 0.5000 0.5000  1 Co 1.89, 1 Fe 2.02
O: 0.0000 0.2517 0.0000  2 Fe 1.94-1.97
O: 0.0000 0.2578 0.5000  1 Co 1.89, 1 Fe 2.02
O: 0.0000 0.7483 0.0000  2 Fe 1.94-1.97
O: 0.0000 0.7422 0.5000  1 Co 1.89, 1 Fe 2.02
O: 0.5000 0.2484 0.0000  2 Fe 1.94-1.97
O: 0.5000 0.2517 0.5000  2 Fe 1.94-1.97
O: 0.5000 0.7516 0.0000  2 Fe 1.94-1.97
O: 0.5000 0.7483 0.5000  2 Fe 1.94-1.97
O: 0.0000 0.0000 0.2517  2 Fe 1.94-1.97
O: 0.0000 0.0000 0.7483  2 Fe 1.94-1.97
O: 0.0000 0.5000 0.2578  1 Co 1.89, 1 Fe 2.02
O: 0.0000 0.5000 0.7422  1 Co 1.89, 1 Fe 2.02
O: 0.5000 0.0000 0.2484  2 Fe 1.94-1.97
O: 0.5000 0.0000 0.7516  2 Fe 1.94-1.97
O: 0.5000 0.5000 0.2517  2 Fe 1.94-1.97
O: 0.5000 0.5000 0.7483  2 Fe 1.94-1.97

No. 2
Computed, not measured: VOF after structural relaxation at the PBE with a Hubbard U level of DFT.

a b c (Å): 4.7123 4.7203 9.3896
angles (deg): 90.00 89.86 90.00
Last column: nearest neighbours and their distance in Å.
Atoms (fractional coordinates):
V: 0.9704 0.9636 0.0002  3 O 1.93-1.98, 3 F 2.10-2.14
V: 0.0282 0.0217 0.3322  3 O 1.92-2.00, 3 F 2.10-2.14
V: 0.0379 0.0126 0.6672  3 O 1.91-1.98, 2 F 2.13
V: 0.5296 0.4636 0.1665  3 O 1.93-1.98, 3 F 2.10-2.14
V: 0.4718 0.5217 0.8345  3 O 1.92-2.00, 3 F 2.10-2.14
V: 0.4620 0.5126 0.4995  3 O 1.91-1.98, 2 F 2.13
O: 0.1956 0.8180 0.4984  3 V 1.91-2.00
O: 0.1849 0.8100 0.8359  3 V 1.92-1.98
O: 0.3151 0.3100 0.3307  3 V 1.92-1.98
O: 0.3044 0.3180 0.6683  3 V 1.91-2.00
O: 0.6834 0.6727 0.0004  3 V 1.93-1.98
O: 0.8165 0.1727 0.1663  3 V 1.93-1.98
F: 0.2090 0.7842 0.1665  3 V 2.10-2.14
F: 0.2910 0.2841 0.0002  3 V 2.10-2.14
F: 0.7120 0.6977 0.3343  3 V 2.11-2.14
F: 0.6944 0.7196 0.6660  3 V 2.11-2.15
F: 0.7880 0.1977 0.8324  3 V 2.11-2.14
F: 0.8056 0.2197 0.5006  3 V 2.11-2.15

No. 3
Computed, not measured: La3Mn2Sb3O14 after structural relaxation at the PBE with a Hubbard U level of DFT.

a b c (Å): 7.6349 12.7608 7.6350
angles (deg): 72.59 60.00 72.59
Last column: nearest neighbours and their distance in Å.
Atoms (fractional coordinates):
La: 0.0000 0.0000 0.5000  6 O 2.39-2.56
La: 0.5000 0.5000 0.0000  6 O 2.39-2.56
La: 0.5000 0.0000 0.0000  6 O 2.39-2.56
La: 0.0000 0.5000 0.5000  6 O 2.39-2.56
La: 0.5000 0.0000 0.5000  6 O 2.39-2.56
La: 0.0000 0.5000 0.0000  6 O 2.39-2.56
Mn: 0.5000 0.5000 0.5000  6 O 2.21
Mn: 0.0000 0.0000 0.0000  6 O 2.21
Mn: 0.2500 0.2500 0.2500  2 O 2.06
Mn: 0.7500 0.7500 0.7500  2 O 2.06
Sb: 0.7500 0.7500 0.2500  6 O 1.97-2.05
Sb: 0.2500 0.2500 0.7500  6 O 1.97-2.05
Sb: 0.2500 0.7500 0.7500  6 O 1.97-2.05
Sb: 0.7500 0.2500 0.2500  6 O 1.97-2.05
Sb: 0.2500 0.7500 0.2500  6 O 1.97-2.05
Sb: 0.7500 0.2500 0.7500  6 O 1.97-2.05
O: 0.1926 0.4222 0.1926  1 Mn 2.06
O: 0.6926 0.9222 0.6926  1 Mn 2.06
O: 0.3074 0.0778 0.3074  1 Mn 2.06
O: 0.8074 0.5778 0.8074  1 Mn 2.06
O: 0.0400 0.2782 0.0400  2 Sb 2.05
O: 0.5400 0.7782 0.5400  2 Sb 2.05
O: 0.6418 0.2782 0.0400  2 Sb 2.05
O: 0.1418 0.7782 0.5400  2 Sb 2.05
O: 0.0400 0.2782 0.6418  2 Sb 2.05
O: 0.5400 0.7782 0.1418  2 Sb 2.05
O: 0.4600 0.2218 0.4600  2 Sb 2.05
O: 0.9600 0.7218 0.9600  2 Sb 2.05
O: 0.8582 0.2218 0.4600  2 Sb 2.05
O: 0.3582 0.7218 0.9600  2 Sb 2.05
O: 0.4600 0.2218 0.8582  2 Sb 2.05
O: 0.9600 0.7218 0.3582  2 Sb 2.05
O: 0.3233 0.5866 0.3233  1 Sb 1.97
O: 0.8233 0.0866 0.8233  1 Sb 1.97
O: 0.7667 0.5866 0.3233  1 Sb 1.97
O: 0.2667 0.0866 0.8233  1 Sb 1.97
O: 0.3233 0.5866 0.7667  1 Sb 1.97
O: 0.8233 0.0866 0.2667  1 Sb 1.97
O: 0.1767 0.9134 0.1767  1 Sb 1.97
O: 0.6767 0.4134 0.6767  1 Sb 1.97
O: 0.7333 0.9134 0.1767  1 Sb 1.97
O: 0.2333 0.4134 0.6767  1 Sb 1.97
O: 0.1767 0.9134 0.7333  1 Sb 1.97
O: 0.6767 0.4134 0.2333  1 Sb 1.97

No. 4
Computed, not measured: BaYMnCoO5 after structural relaxation at the PBE with a Hubbard U level of DFT.

## Properties
- Polymorph energy (0 for the lowest one): 0.05 eV per formula unit

a b c (Å): 3.9367 8.7071 7.8368
angles (deg): 63.33 89.98 90.07
Last column: nearest neighbours and their distance in Å.
Atoms (fractional coordinates):
Ba: 0.0042 0.9850 0.0072  7 O 2.75-3.08
Ba: 0.9999 0.9922 0.4993  5 O 2.74-3.04
Y: 0.0017 0.5084 0.2465  8 O 2.33-2.52
Y: 0.9992 0.5089 0.7459  8 O 2.34-2.52
Mn: 0.4993 0.2649 0.1165  5 O 1.99-2.05
Mn: 0.5008 0.2663 0.6176  5 O 2.00-2.06
Co: 0.5088 0.7368 0.3823  5 O 1.93-2.06
Co: 0.4992 0.7418 0.8765  5 O 2.02-2.11
O: 0.4946 0.0012 0.2487  1 Mn 2.05, 1 Co 2.06
O: 0.5000 0.0012 0.7503  1 Co 2.02, 1 Mn 2.06
O: 0.9991 0.6716 0.9159  2 Co 2.04
O: 0.9963 0.6879 0.4068  2 Co 1.96-2.05
O: 0.4988 0.6829 0.1686  2 Co 1.93-2.11
O: 0.4976 0.6851 0.6507  2 Co 1.94-2.04
O: 0.9995 0.3058 0.0969  2 Mn 1.99
O: 0.0008 0.3134 0.5936  2 Mn 2.00
O: 0.5003 0.3216 0.3386  2 Mn 2.01-2.02
O: 0.4997 0.3251 0.8381  2 Mn 2.00-2.01

No. 5
Computed, not measured: Co5Te4Cl4O11 after structural relaxation at the PBE with a Hubbard U level of DFT.

a b c (Å): 8.5170 10.3516 10.4208
angles (deg): 110.53 97.87 97.24
Last column: nearest neighbours and their distance in Å.
Atoms (fractional coordinates):
Co: 0.3945 0.7010 0.9993  4 O 2.04-2.14
Co: 0.6055 0.2990 0.0007  4 O 2.04-2.14
Co: 0.6362 0.0779 0.1859  3 O 2.01-2.09
Co: 0.5995 0.4514 0.7604  3 O 2.03-2.25
Co: 0.3638 0.9221 0.8141  3 O 2.01-2.09
Co: 0.4147 0.1191 0.5988  5 O 2.06-2.26
Co: 0.4005 0.5486 0.2396  3 O 2.03-2.25
Co: 0.5920 0.6568 0.5697  4 O 1.99-2.22
Co: 0.5853 0.8809 0.4012  5 O 2.06-2.26
Co: 0.4080 0.3432 0.4303  4 O 1.99-2.22
Te: 0.7765 0.2102 0.5424  3 O 1.90-1.96
Te: 0.7166 0.0031 0.7845  3 O 1.88-1.98
Te: 0.2145 0.5585 0.6707  3 O 1.91-2.00
Te: 0.2834 0.9969 0.2155  3 O 1.88-1.98
Te: 0.7405 0.6766 0.1209  3 O 1.90-1.92
Te: 0.2235 0.7898 0.4576  3 O 1.90-1.96
Te: 0.7855 0.4415 0.3293  3 O 1.91-2.00
Te: 0.2595 0.3234 0.8791  3 O 1.90-1.92
Cl: 0.8190 0.3435 0.8741  2 Co 2.48-2.65
Cl: 0.8021 0.5997 0.7100  2 Co 2.40-2.42
Cl: 0.8169 0.9533 0.0696  1 Co 2.33
Cl: 0.1979 0.4003 0.2900  2 Co 2.40-2.42
Cl: 0.1821 0.2018 0.5136  2 Co 2.43-2.69
Cl: 0.1810 0.6565 0.1259  2 Co 2.48-2.65
Cl: 0.1831 0.0467 0.9304  1 Co 2.33
Cl: 0.8179 0.7982 0.4864  2 Co 2.43-2.69
O: 0.1561 0.6659 0.5510  2 Te 1.94-2.00
O: 0.4443 0.2800 0.7967  1 Te 1.92, 1 Co 2.11
O: 0.4193 0.5153 0.6174  1 Te 1.96, 2 Co 2.11-2.17
O: 0.4025 0.3931 0.0553  1 Te 1.90, 1 Co 2.03
O: 0.3662 0.9544 0.3802  1 Te 1.98, 1 Co 2.11
O: 0.5975 0.6069 0.9447  1 Te 1.90, 1 Co 2.03
O: 0.7285 0.5017 0.1472  1 Te 1.92, 1 Co 2.14
O: 0.5557 0.7200 0.2033  1 Te 1.92, 1 Co 2.11
O: 0.2990 0.9476 0.6281  1 Te 1.90, 2 Co 2.06
O: 0.5730 0.8303 0.7235  1 Te 1.88, 1 Co 1.99
O: 0.2715 0.4983 0.8528  1 Te 1.92, 1 Co 2.14
O: 0.6995 0.2681 0.1766  1 Te 1.91, 2 Co 2.01-2.04
O: 0.3005 0.7319 0.8234  1 Te 1.91, 2 Co 2.01-2.04
O: 0.6338 0.0456 0.6198  1 Te 1.98, 1 Co 2.11
O: 0.7010 0.0524 0.3719  1 Te 1.90, 2 Co 2.06
O: 0.4239 0.7196 0.4302  1 Te 1.96, 2 Co 2.11-2.16
O: 0.8439 0.3341 0.4490  2 Te 1.94-2.00
O: 0.5807 0.4847 0.3826  1 Te 1.96, 2 Co 2.11-2.17
O: 0.4270 0.1697 0.2765  1 Te 1.88, 1 Co 1.99
O: 0.4329 0.9180 0.1034  1 Te 1.91, 2 Co 2.08-2.09
O: 0.5671 0.0820 0.8966  1 Te 1.91, 2 Co 2.08-2.09
O: 0.5761 0.2804 0.5698  1 Te 1.96, 2 Co 2.11-2.16

no.,density (g/cm3),energy relative to the elements (eV/atom)
1,5.333,-2.1818
2,4.100,-2.8432
3,6.130,-2.7287
4,5.812,-2.5964
5,4.455,-1.3017